Record 1
DFT (GGA-PBE) results for an optimized crystal structure of K2RuCl6.

Calculated formation energy ... -1.605 eV/atom
E_tot ... -3.705 eV per atom

a = 7.0019 Å, b = 7.0019 Å, c = 7.0019 Å
α = 60.00°, β = 60.00°, γ = 60.00°
Closest atoms and distances in Å follow each position.
Element x y z (fractional)
K  0.7500  0.7500  0.7500  12 Cl 3.50
Ru  0.0000  0.0000  0.0000  6 Cl 2.35
Cl  0.7626  0.2374  0.7626  1 Ru 2.35
Cl  0.2374  0.2374  0.7626  1 Ru 2.35
Cl  0.2374  0.7626  0.2374  1 Ru 2.35
Cl  0.7626  0.2374  0.2374  1 Ru 2.35
Cl  0.7626  0.7626  0.2374  1 Ru 2.35
Cl  0.2374  0.7626  0.7626  1 Ru 2.35
K  0.2500  0.2500  0.2500  12 Cl 3.50

Record 2
DFT (GGA-PBE) results for an optimized crystal structure of PrH6C3O9.

Calculated formation energy ... -1.767 eV/atom
E_tot ... -6.565 eV per atom
Relative energy among the computed polymorphs ... 0 meV per atom

a = 8.5411 Å, b = 9.7901 Å, c = 10.3031 Å
α = 81.31°, β = 90.00°, γ = 90.00°
Closest atoms and distances in Å follow each position.
Element x y z (fractional)
O  0.9973  0.1237  0.7994  1 C 1.26
O  0.6983  0.8165  0.2577  1 C 1.25
O  0.6965  0.1928  0.0679  2 H 0.99-1.00
C  0.3917  0.0819  0.7701  2 O 1.25-1.28
C  0.0975  0.9753  0.1738  2 O 1.26-1.27
C  0.1083  0.0819  0.2701  2 O 1.25-1.28
O  0.5667  0.6001  0.8528  1 C 1.27
Pr  0.4011  0.1828  0.0647  9 O 2.42-2.65
O  0.8931  0.3984  0.1245  2 H 0.99
Pr  0.0989  0.1828  0.5647  9 O 2.42-2.65
O  0.4973  0.8763  0.7006  1 C 1.26
H  0.6497  0.5996  0.5838  1 O 0.99
H  0.4026  0.2482  0.4033  1 O 0.99
H  0.1497  0.4004  0.9162  1 O 0.99
C  0.9025  0.0247  0.8262  2 O 1.26-1.27
O  0.9898  0.6220  0.6095  1 C 1.27
O  0.0667  0.3999  0.6472  1 C 1.27
H  0.2640  0.7327  0.4066  1 O 1.00
C  0.4838  0.5059  0.0734  2 O 1.27
H  0.9026  0.7518  0.0967  1 O 0.99
O  0.8017  0.8165  0.7577  1 C 1.25
O  0.4745  0.0582  0.8747  1 C 1.28
H  0.0654  0.6099  0.7845  1 O 0.99
O  0.9745  0.9418  0.6253  1 C 1.28
O  0.1422  0.3055  0.9656  2 H 0.99
O  0.8035  0.1928  0.5679  2 H 0.99-1.00
H  0.2439  0.8586  0.9917  1 O 0.99
C  0.8917  0.9181  0.7299  2 O 1.25-1.28
O  0.1069  0.6016  0.8755  2 H 0.99
H  0.2360  0.7327  0.9066  1 O 1.00
H  0.8503  0.5996  0.0838  1 O 0.99
C  0.0162  0.5059  0.5734  2 O 1.27
O  0.3578  0.3055  0.4656  2 H 0.99
O  0.3119  0.9971  0.5748  1 C 1.27
O  0.5027  0.1237  0.2994  1 C 1.26
O  0.6422  0.6945  0.5344  2 H 0.99
H  0.9346  0.3901  0.2155  1 O 0.99
C  0.5162  0.4941  0.9266  2 O 1.27
C  0.5975  0.0247  0.3262  2 O 1.26-1.27
O  0.8578  0.6945  0.0344  2 H 0.99
H  0.7360  0.2673  0.5934  1 O 1.00
H  0.7640  0.2673  0.0934  1 O 1.00
O  0.1965  0.8072  0.4321  2 H 0.99-1.00
H  0.0974  0.2482  0.9033  1 O 0.99
H  0.7439  0.1414  0.5083  1 O 0.99
H  0.4811  0.6313  0.4270  1 O 0.99
O  0.0027  0.8763  0.2006  1 C 1.26
O  0.0102  0.3780  0.3905  1 C 1.27
C  0.4025  0.9753  0.6738  2 O 1.26-1.27
O  0.1881  0.9971  0.0748  1 C 1.27
O  0.3017  0.1835  0.7423  1 C 1.25
O  0.3931  0.6016  0.3755  2 H 0.99
H  0.4346  0.6099  0.2845  1 O 0.99
O  0.9333  0.6001  0.3528  1 C 1.27
H  0.0189  0.6313  0.9270  1 O 0.99
O  0.3035  0.8072  0.9321  2 H 0.99-1.00
Pr  0.9011  0.8172  0.4353  9 O 2.42-2.65
H  0.9811  0.3687  0.0730  1 O 0.99
O  0.4333  0.3999  0.1472  1 C 1.27
H  0.2561  0.8586  0.4917  1 O 0.99
O  0.5255  0.9418  0.1253  1 C 1.28
Pr  0.5989  0.8172  0.9353  9 O 2.42-2.65
H  0.3503  0.4004  0.4162  1 O 0.99
O  0.6069  0.3984  0.6245  2 H 0.99
O  0.0255  0.0582  0.3747  1 C 1.28
O  0.4898  0.3780  0.8905  1 C 1.27
O  0.5102  0.6220  0.1095  1 C 1.27
C  0.6083  0.9181  0.2299  2 O 1.25-1.28
H  0.5974  0.7518  0.5967  1 O 0.99
O  0.6881  0.0029  0.4252  1 C 1.27
C  0.9838  0.4941  0.4266  2 O 1.27
H  0.7561  0.1414  0.0083  1 O 0.99
O  0.1983  0.1835  0.2423  1 C 1.25
O  0.8119  0.0029  0.9252  1 C 1.27
H  0.5189  0.3687  0.5730  1 O 0.99
H  0.5654  0.3901  0.7155  1 O 0.99

Record 3
DFT (GGA-PBE) results for an optimized crystal structure of CdAs2O6.

Calculated formation energy ... -1.703 eV/atom
E_tot ... -5.682 eV per atom

a = 4.9285 Å, b = 4.9285 Å, c = 4.9853 Å
α = 90.00°, β = 90.00°, γ = 120.00°
Closest atoms and distances in Å follow each position.
Element x y z (fractional)
O  0.0000  0.6236  0.2906  2 As 1.87
O  0.3764  0.3764  0.2906  2 As 1.87
O  0.6236  0.0000  0.2906  2 As 1.87
O  0.0000  0.3764  0.7094  2 As 1.87
As  0.6667  0.3333  0.5000  6 O 1.87
Cd  0.0000  0.0000  0.0000  6 O 2.35
O  0.3764  0.0000  0.7094  2 As 1.87
O  0.6236  0.6236  0.7094  2 As 1.87
As  0.3333  0.6667  0.5000  6 O 1.87

Record 4
DFT (GGA-PBE) results for an optimized crystal structure of MgTi2P2O8F2.

Calculated formation energy ... -3.087 eV/atom
E_tot ... -7.434 eV per atom

a = 5.4712 Å, b = 5.3263 Å, c = 7.5633 Å
α = 108.02°, β = 108.71°, γ = 96.04°
Closest atoms and distances in Å follow each position.
Element x y z (fractional)
F  0.8575  0.6608  0.7488  1 Mg 1.96, 2 Ti 2.13-2.16
Ti  0.9954  0.0272  0.0112  2 F 1.93-2.16, 4 O 1.97-2.14
Ti  0.5043  0.5079  0.4869  3 O 1.91-2.10, 2 F 1.94-2.13
O  0.3197  0.7839  0.6529  1 P 1.56
O  0.2194  0.1995  0.8741  1 P 1.57
O  0.6988  0.1810  0.8941  1 P 1.53
P  0.4043  0.0981  0.7589  4 O 1.53-1.57
Mg  0.1880  0.5360  0.7878  1 F 1.96, 4 O 2.06-2.11
O  0.3137  0.8298  0.0703  1 P 1.58
O  0.6708  0.2221  0.3699  1 P 1.54
F  0.1781  0.3371  0.2551  2 Ti 1.93-1.94
O  0.3548  0.2648  0.6180  1 P 1.56
O  0.7934  0.8494  0.1311  1 P 1.54
O  0.6141  0.7585  0.3787  1 P 1.54
P  0.6003  0.9189  0.2390  4 O 1.54-1.58

Record 5
DFT (GGA-PBE) results for an optimized crystal structure of TbNiSn2.

Calculated formation energy ... -0.584 eV/atom
E_tot ... -5.193 eV per atom

a = 4.4641 Å, b = 14.7110 Å, c = 16.1793 Å
α = 90.00°, β = 90.00°, γ = 90.00°
Closest atoms and distances in Å follow each position.
Element x y z (fractional)
Ni  0.2500  0.8937  0.5519  5 Sn 2.55-2.76
Sn  0.7500  0.2640  0.5318  2 Ni 2.61-2.69
Sn  0.2500  0.1771  0.6833  3 Ni 2.51-2.68
Tb  0.7500  0.7266  0.1265  2 Ni 3.09, 8 Sn 3.16-3.44
Tb  0.7500  0.8973  0.8544  7 Sn 3.16-3.50, 4 Ni 3.16-3.26
Ni  0.2500  0.4526  0.2995  5 Sn 2.53-2.68
Tb  0.2500  0.2734  0.8735  2 Ni 3.09, 8 Sn 3.16-3.44
Ni  0.2500  0.6063  0.0519  5 Sn 2.55-2.76
Tb  0.2500  0.1027  0.1456  7 Sn 3.16-3.50, 4 Ni 3.16-3.26
Sn  0.7500  0.1044  0.2850  3 Ni 2.56-2.64
Tb  0.7500  0.0273  0.6505  8 Sn 3.13-3.20, 6 Ni 3.30-3.48
Sn  0.7500  0.1310  0.8244  3 Ni 2.58-2.79
Sn  0.7500  0.5777  0.9805  3 Ni 2.55-2.76
Tb  0.7500  0.6027  0.3544  7 Sn 3.16-3.50, 4 Ni 3.16-3.26
Sn  0.7500  0.5522  0.5440  1 Ni 2.53
Sn  0.2500  0.3229  0.1833  3 Ni 2.51-2.68
Ni  0.2500  0.0474  0.7995  5 Sn 2.53-2.68
Sn  0.7500  0.6771  0.8167  3 Ni 2.51-2.68
Sn  0.7500  0.2360  0.0318  2 Ni 2.61-2.69
Sn  0.2500  0.6044  0.2150  3 Ni 2.56-2.64
Sn  0.7500  0.3690  0.3244  3 Ni 2.58-2.79
Ni  0.7500  0.9526  0.2005  5 Sn 2.53-2.68
Sn  0.7500  0.9478  0.0440  1 Ni 2.53
Ni  0.2500  0.7543  0.8069  5 Sn 2.51-2.79
Sn  0.2500  0.0777  0.5195  3 Ni 2.55-2.76
Sn  0.2500  0.4223  0.0195  3 Ni 2.55-2.76
Sn  0.7500  0.3956  0.7850  3 Ni 2.56-2.64
Sn  0.2500  0.0522  0.9560  1 Ni 2.53
Sn  0.2500  0.8690  0.1756  3 Ni 2.58-2.79
Tb  0.7500  0.4727  0.1505  8 Sn 3.13-3.20, 6 Ni 3.30-3.48
Sn  0.2500  0.7360  0.4682  2 Ni 2.61-2.69
Sn  0.2500  0.4478  0.4560  1 Ni 2.53
Sn  0.2500  0.8956  0.7150  3 Ni 2.56-2.64
Tb  0.2500  0.9727  0.3495  8 Sn 3.13-3.20, 6 Ni 3.30-3.48
Sn  0.7500  0.8229  0.3167  3 Ni 2.51-2.68
Ni  0.2500  0.7457  0.3069  5 Sn 2.51-2.79
Sn  0.7500  0.9223  0.4805  3 Ni 2.55-2.76
Tb  0.7500  0.7734  0.6265  2 Ni 3.09, 8 Sn 3.16-3.44
Tb  0.2500  0.5273  0.8495  8 Sn 3.13-3.20, 6 Ni 3.30-3.48
Tb  0.2500  0.3973  0.6456  7 Sn 3.16-3.50, 4 Ni 3.16-3.26
Ni  0.7500  0.2457  0.1931  5 Sn 2.51-2.79
Sn  0.2500  0.7640  0.9682  2 Ni 2.61-2.69
Ni  0.7500  0.5474  0.7005  5 Sn 2.53-2.68
Ni  0.7500  0.1063  0.4481  5 Sn 2.55-2.76
Tb  0.2500  0.2266  0.3735  2 Ni 3.09, 8 Sn 3.16-3.44
Ni  0.7500  0.3937  0.9481  5 Sn 2.55-2.76
Sn  0.2500  0.6310  0.6756  3 Ni 2.58-2.79
Ni  0.7500  0.2543  0.6931  5 Sn 2.51-2.79

Record 6
DFT (GGA-PBE) results for an optimized crystal structure of NiSn2N2.

Calculated formation energy ... 0.142 eV/atom
E_tot ... -5.808 eV per atom

a = 7.3478 Å, b = 3.4146 Å, c = 12.1991 Å
α = 90.00°, β = 90.00°, γ = 90.00°
Closest atoms and distances in Å follow each position.
Element x y z (fractional)
Sn  0.6364  0.2500  0.0874  3 N 2.18-2.21
Sn  0.5011  0.2500  0.6533  3 N 2.20-2.23
N  0.7113  0.2500  0.5248  1 Ni 1.94
N  0.2887  0.7500  0.4752  1 Ni 1.94
N  0.1606  0.7500  0.7788  1 Ni 1.88
Ni  0.2759  0.2500  0.1292  2 N 1.88-1.94
N  0.2113  0.2500  0.9752  1 Ni 1.94
Ni  0.7759  0.2500  0.3708  2 N 1.88-1.94
Sn  0.9989  0.7500  0.1533  3 N 2.20-2.23
N  0.3394  0.2500  0.2788  1 Ni 1.88
N  0.8394  0.2500  0.2212  1 Ni 1.88
N  0.7887  0.7500  0.0248  1 Ni 1.94
Sn  0.3636  0.7500  0.9126  3 N 2.18-2.21
Ni  0.7241  0.7500  0.8708  2 N 1.88-1.94
Ni  0.2241  0.7500  0.6292  2 N 1.88-1.94
Sn  0.0011  0.2500  0.8467  3 N 2.20-2.23
Sn  0.4989  0.7500  0.3467  3 N 2.20-2.23
Sn  0.8636  0.7500  0.5874  3 N 2.18-2.21
Sn  0.1364  0.2500  0.4126  3 N 2.18-2.21
N  0.6606  0.7500  0.7212  1 Ni 1.88

Record 7
DFT (GGA-PBE) results for an optimized crystal structure of YTh9O20.

Calculated formation energy ... -4.243 eV/atom
E_tot ... -9.523 eV per atom

a = 6.8566 Å, b = 7.9188 Å, c = 8.8598 Å
α = 102.88°, β = 97.47°, γ = 106.70°
Closest atoms and distances in Å follow each position.
Element x y z (fractional)
O  0.1499  0.6750  0.5498  4 Th 2.43-2.44
Th  0.4009  0.8017  0.8019  8 O 2.41-2.44
Th  0.3982  0.2988  0.8011  8 O 2.41-2.44
Th  0.6018  0.7012  0.1989  8 O 2.41-2.44
Th  0.8007  0.0996  0.6019  8 O 2.41-2.44
O  0.4498  0.0251  0.6497  4 Th 2.42-2.44
O  0.7497  0.3748  0.7499  4 Th 2.42-2.44
Th  0.1993  0.3983  0.3982  8 O 2.41-2.44
O  0.5502  0.9749  0.3503  4 Th 2.42-2.44
O  0.2503  0.6252  0.2501  4 Th 2.42-2.44
O  0.6497  0.9248  0.0502  3 Th 2.41, 1 Y 2.43
O  0.8501  0.3250  0.4502  4 Th 2.43-2.44
O  0.2502  0.1251  0.2504  3 Th 2.41-2.43, 1 Y 2.43
O  0.4499  0.5247  0.6500  4 Th 2.42-2.44
O  0.6497  0.4251  0.0498  4 Th 2.42-2.43
O  0.8502  0.8252  0.4501  4 Th 2.43
O  0.0500  0.2253  0.8498  3 Th 2.41-2.42, 1 Y 2.43
O  0.1498  0.1748  0.5499  4 Th 2.43
Th  0.8007  0.6017  0.6018  8 O 2.41-2.44
Y  0.0000  0.0000  0.0000  8 O 2.43
O  0.7498  0.8749  0.7496  3 Th 2.41-2.43, 1 Y 2.43
Th  0.5991  0.1983  0.1981  8 O 2.41-2.44
O  0.3503  0.5749  0.9502  4 Th 2.42-2.43
O  0.0500  0.7245  0.8498  3 Th 2.41-2.42, 1 Y 2.43
Th  0.1993  0.9004  0.3981  8 O 2.41-2.44
Th  0.0000  0.5000  0.0000  8 O 2.42-2.43
O  0.5501  0.4753  0.3500  4 Th 2.42-2.44
O  0.3503  0.0752  0.9498  3 Th 2.41, 1 Y 2.43
O  0.9500  0.2755  0.1502  3 Th 2.41-2.42, 1 Y 2.43
O  0.9500  0.7747  0.1502  3 Th 2.41-2.42, 1 Y 2.43

Record 8
DFT (GGA-PBE) results for an optimized crystal structure of Cs3Sm7Se12.

Calculated formation energy ... -2.063 eV/atom
E_tot ... -5.336 eV per atom

a = 4.2707 Å, b = 13.1774 Å, c = 26.8214 Å
α = 90.00°, β = 90.00°, γ = 90.00°
Closest atoms and distances in Å follow each position.
Element x y z (fractional)
Sm  0.5000  0.9062  0.7883  6 Se 2.87-3.04
Cs  0.5000  0.7862  0.1332  7 Se 3.67-3.84
Se  0.0000  0.1528  0.9811  3 Sm 2.89-2.98
Se  0.5000  0.9295  0.8968  4 Sm 2.92-2.95
Se  0.0000  0.7447  0.8039  5 Sm 3.04-3.09
Se  0.0000  0.0520  0.7891  3 Sm 2.87-2.89
Se  0.5000  0.3472  0.4811  3 Sm 2.89-2.98
Cs  0.0000  0.4393  0.9702  5 Se 3.54-3.79
Se  0.0000  0.4311  0.6035  4 Sm 2.91-2.95
Se  0.5000  0.3689  0.0769  3 Sm 2.90-2.93
Sm  0.0000  0.5938  0.2883  6 Se 2.87-3.04
Se  0.0000  0.4298  0.8219  3 Sm 2.91-2.98
Se  0.5000  0.0702  0.3219  3 Sm 2.91-2.98
Cs  0.0000  0.7138  0.6332  7 Se 3.67-3.84
Se  0.0000  0.2554  0.1964  5 Sm 3.04-3.10
Cs  0.5000  0.0607  0.4702  5 Se 3.54-3.79
Sm  0.0000  0.0772  0.6819  6 Se 2.88-3.10
Sm  0.5000  0.7186  0.4177  6 Se 2.86-3.09
Se  0.0000  0.5705  0.3968  4 Sm 2.92-2.95
Sm  0.0000  0.2178  0.0840  6 Se 2.89-3.06
Sm  0.5000  0.4228  0.1819  6 Se 2.88-3.10
Se  0.0000  0.9486  0.2108  3 Sm 2.87
Se  0.5000  0.6479  0.5185  3 Sm 2.86-2.93
Cs  0.5000  0.2073  0.8641  7 Se 3.58-3.86
Se  0.5000  0.7553  0.3039  5 Sm 3.04-3.09
Se  0.5000  0.9300  0.6800  3 Sm 2.88-2.92
Se  0.5000  0.4480  0.2891  3 Sm 2.87-2.89
Se  0.0000  0.8699  0.4222  3 Sm 2.90-2.92
Se  0.5000  0.6301  0.9222  3 Sm 2.90-2.92
Se  0.5000  0.5514  0.7108  3 Sm 2.87
Se  0.5000  0.2446  0.6964  5 Sm 3.04-3.10
Sm  0.0000  0.4060  0.7114  6 Se 2.87-3.04
Cs  0.0000  0.2927  0.3641  7 Se 3.58-3.86
Sm  0.0000  0.9205  0.3169  6 Se 2.87-3.07
Se  0.0000  0.5700  0.1800  3 Sm 2.88-2.92
Se  0.0000  0.8521  0.0185  3 Sm 2.86-2.93
Sm  0.5000  0.0940  0.2114  6 Se 2.87-3.04
Se  0.5000  0.0689  0.1035  4 Sm 2.91-2.95
Sm  0.0000  0.5000  0.4999  6 Se 2.92-2.98
Sm  0.5000  0.0000  0.9999  6 Se 2.92-2.98
Sm  0.5000  0.2822  0.5840  6 Se 2.89-3.06
Sm  0.5000  0.5795  0.8169  6 Se 2.87-3.07
Sm  0.0000  0.7814  0.9177  6 Se 2.86-3.09
Se  0.0000  0.1311  0.5769  3 Sm 2.90-2.93

Which of these has the highest calculated formation energy?
NiSn2N2

Which of these has the lowest calculated formation energy?
YTh9O20